Entry 1:
{
  "formula": "CaAl2Si2H4O10",
  "functional": "PBE",
  "state": "relaxed",
  "cell": [[2.948, -5.287, 0.000], [2.948, 5.287, 0.000], [0.000, 0.000, 13.883]],
  "species": ["Ca", "Ca", "Al", "Al", "Al", "Al", "Si", "Si", "Si", "Si", "H", "H", "H", "H", "H", "H", "H", "H", "O", "O", "O", "O", "O", "O", "O", "O", "O", "O", "O", "O", "O", "O", "O", "O", "O", "O", "O", "O"],
  "frac_coords": [[0.133, 0.867, 0.750], [0.867, 0.133, 0.250], [0.000, 0.500, 0.000], [0.000, 0.500, 0.500], [0.500, 0.000, 0.000], [0.500, 0.000, 0.500], [0.213, 0.787, 0.150], [0.213, 0.787, 0.350], [0.787, 0.213, 0.650], [0.787, 0.213, 0.850], [0.414, 0.586, 0.580], [0.414, 0.586, 0.920], [0.452, 0.548, 0.195], [0.452, 0.548, 0.305], [0.548, 0.452, 0.695], [0.548, 0.452, 0.805], [0.586, 0.414, 0.080], [0.586, 0.414, 0.420], [0.062, 0.471, 0.139], [0.062, 0.471, 0.361], [0.125, 0.875, 0.250], [0.141, 0.859, 0.044], [0.141, 0.859, 0.456], [0.357, 0.643, 0.525], [0.357, 0.643, 0.975], [0.471, 0.062, 0.639], [0.471, 0.062, 0.861], [0.489, 0.511, 0.750], [0.511, 0.489, 0.250], [0.529, 0.938, 0.139], [0.529, 0.938, 0.361], [0.643, 0.357, 0.025], [0.643, 0.357, 0.475], [0.859, 0.141, 0.544], [0.859, 0.141, 0.956], [0.875, 0.125, 0.750], [0.938, 0.529, 0.639], [0.938, 0.529, 0.861]],
  "sg": "Cmcm, No. 63",
  "mass_density_g_cm3": 2.4,
  "formation_enthalpy_0k_mev_per_atom": -2578,
  "magnetic_moment_mub_per_atom": 0.000
}

---

Entry 2:
{
  "formula": "CaAl2Si3H6O13",
  "functional": "PBE",
  "state": "relaxed",
  "cell": [[3.287, -9.590, 0.000], [3.287, 9.590, 0.000], [-3.255, 0.000, 9.355]],
  "species": ["Ca", "Ca", "Al", "Al", "Al", "Al", "Si", "Si", "Si", "Si", "Si", "Si", "H", "H", "H", "H", "H", "H", "H", "H", "H", "H", "H", "H", "O", "O", "O", "O", "O", "O", "O", "O", "O", "O", "O", "O", "O", "O", "O", "O", "O", "O", "O", "O", "O", "O", "O", "O", "O", "O"],
  "frac_coords": [[0.107, 0.893, 0.500], [0.893, 0.107, 0.000], [0.063, 0.486, 0.548], [0.153, 0.220, 0.381], [0.220, 0.153, 0.881], [0.486, 0.063, 0.048], [0.068, 0.732, 0.779], [0.162, 0.998, 0.147], [0.487, 0.728, 0.445], [0.728, 0.487, 0.945], [0.732, 0.068, 0.279], [0.998, 0.162, 0.647], [0.032, 0.650, 0.224], [0.173, 0.571, 0.993], [0.180, 0.692, 0.356], [0.301, 0.616, 0.139], [0.423, 0.631, 0.823], [0.547, 0.605, 0.897], [0.571, 0.173, 0.493], [0.605, 0.547, 0.397], [0.616, 0.301, 0.639], [0.631, 0.423, 0.323], [0.650, 0.032, 0.724], [0.692, 0.180, 0.856], [0.044, 0.633, 0.624], [0.062, 0.160, 0.804], [0.090, 0.132, 0.537], [0.103, 0.714, 0.327], [0.110, 0.398, 0.664], [0.132, 0.090, 0.037], [0.142, 0.943, 0.764], [0.157, 0.496, 0.059], [0.160, 0.062, 0.304], [0.241, 0.804, 0.912], [0.288, 0.663, 0.475], [0.398, 0.110, 0.164], [0.414, 0.513, 0.417], [0.496, 0.157, 0.559], [0.513, 0.414, 0.917], [0.534, 0.812, 0.301], [0.566, 0.716, 0.889], [0.633, 0.044, 0.124], [0.663, 0.288, 0.975], [0.714, 0.103, 0.827], [0.716, 0.566, 0.389], [0.719, 0.941, 0.582], [0.804, 0.241, 0.412], [0.812, 0.534, 0.801], [0.941, 0.719, 0.082], [0.943, 0.142, 0.264]],
  "sg": "Cc, No. 9",
  "mass_density_g_cm3": 2.2,
  "formation_enthalpy_0k_mev_per_atom": -2630,
  "magnetic_moment_mub_per_atom": 0.000
}